1.
This record from Materials Project describes a relaxed structure of Ba5Fe2N4. The functional is PBE-GGA.

Calculated volume = 1124.1 Å³ per cell
VASP energy = -5.785 eV per atom
DFT formation energy = -5.203 eV per formula unit

a b c (Å): 9.289 9.289 13.028
angles (deg): 90.00 90.00 90.00
Positions (direct):
1 Ba 0.750 0.750 0.337
2 Ba 0.750 0.750 0.837
3 Ba 0.250 0.250 0.663
4 Ba 0.250 0.250 0.163
5 Ba 0.137 0.569 0.396
6 Ba 0.363 0.569 0.896
7 Ba 0.137 0.931 0.896
8 Ba 0.363 0.931 0.396
9 Ba 0.569 0.137 0.896
10 Ba 0.931 0.137 0.396
11 Ba 0.569 0.363 0.396
12 Ba 0.931 0.363 0.896
13 Ba 0.863 0.431 0.604
14 Ba 0.637 0.431 0.104
15 Ba 0.863 0.069 0.104
16 Ba 0.637 0.069 0.604
17 Ba 0.431 0.863 0.104
18 Ba 0.069 0.863 0.604
19 Ba 0.431 0.637 0.604
20 Ba 0.069 0.637 0.104
21 Fe 0.093 0.907 0.250
22 Fe 0.407 0.907 0.750
23 Fe 0.093 0.593 0.750
24 Fe 0.407 0.593 0.250
25 Fe 0.907 0.093 0.750
26 Fe 0.593 0.093 0.250
27 Fe 0.907 0.407 0.250
28 Fe 0.593 0.407 0.750
29 N 0.645 0.055 0.375
30 N 0.855 0.055 0.875
31 N 0.645 0.445 0.875
32 N 0.855 0.445 0.375
33 N 0.055 0.645 0.875
34 N 0.445 0.645 0.375
35 N 0.055 0.855 0.375
36 N 0.445 0.855 0.875
37 N 0.355 0.945 0.625
38 N 0.145 0.945 0.125
39 N 0.355 0.555 0.125
40 N 0.145 0.555 0.625
41 N 0.945 0.355 0.125
42 N 0.555 0.355 0.625
43 N 0.945 0.145 0.625
44 N 0.555 0.145 0.125

=====

2.
This record from Materials Project describes a relaxed structure of Ba3Fe3N5. The functional is PBE-GGA.

Calculated volume = 360.8 Å³ per cell
VASP energy = -7.017 eV per atom
DFT formation energy = -6.139 eV per formula unit

a b c (Å): 5.880 7.882 8.749
angles (deg): 104.34 103.81 104.28
Positions (direct):
1 Ba 0.762 0.430 0.615
2 Ba 0.238 0.570 0.385
3 Ba 0.664 0.859 0.887
4 Ba 0.336 0.141 0.113
5 Ba 0.720 0.727 0.242
6 Ba 0.280 0.273 0.758
7 Fe 0.895 0.337 0.984
8 Fe 0.105 0.663 0.016
9 Fe 0.668 0.993 0.595
10 Fe 0.332 0.007 0.405
11 Fe 0.088 0.839 0.678
12 Fe 0.912 0.161 0.322
13 N 0.818 0.167 0.792
14 N 0.182 0.833 0.208
15 N 0.757 0.776 0.576
16 N 0.243 0.224 0.424
17 N 0.768 0.523 0.945
18 N 0.232 0.477 0.055
19 N 0.330 0.927 0.590
20 N 0.670 0.073 0.410
21 N 0.148 0.764 0.853
22 N 0.852 0.236 0.147